(1)
! PNCl2 PBE optimized geometry; values from VASP
! - energy of formation (kJ/mol of formula units) = -339
! - magnetic moment (μB/f.u.) = 0.00
&SYSTEM
  ibrav = 0, nat = 80, ntyp = 3
/
ATOMIC_SPECIES
P 30.97 P.upf
N 14.01 N.upf
Cl 35.45 Cl.upf
CELL_PARAMETERS angstrom
6.403 0.000 0.000
0.000 15.817 0.000
0.000 0.000 19.918
ATOMIC_POSITIONS crystal
P 0.009 0.121 0.363
P 0.149 0.495 0.241
P 0.151 0.588 0.997
P 0.164 0.641 0.664
P 0.166 0.583 0.518
P 0.334 0.417 0.018
P 0.336 0.359 0.164
P 0.349 0.412 0.497
P 0.351 0.505 0.741
P 0.491 0.879 0.863
P 0.509 0.379 0.637
P 0.649 0.005 0.759
P 0.651 0.912 0.003
P 0.664 0.859 0.336
P 0.666 0.917 0.482
P 0.834 0.083 0.982
P 0.836 0.141 0.836
P 0.849 0.088 0.503
P 0.851 0.995 0.259
P 0.991 0.621 0.137
N 0.019 0.616 0.059
N 0.070 0.543 0.178
N 0.189 0.595 0.595
N 0.212 0.493 0.985
N 0.245 0.404 0.229
N 0.255 0.596 0.729
N 0.288 0.507 0.485
N 0.311 0.405 0.095
N 0.430 0.457 0.678
N 0.481 0.384 0.559
N 0.519 0.884 0.941
N 0.570 0.957 0.822
N 0.689 0.905 0.405
N 0.712 0.007 0.015
N 0.745 0.096 0.771
N 0.755 0.904 0.271
N 0.788 0.993 0.515
N 0.811 0.095 0.905
N 0.930 0.043 0.322
N 0.981 0.116 0.441
Cl 0.017 0.121 0.585
Cl 0.083 0.978 0.191
Cl 0.092 0.338 0.489
Cl 0.119 0.730 0.171
Cl 0.142 0.075 0.007
Cl 0.142 0.166 0.820
Cl 0.145 0.434 0.795
Cl 0.183 0.861 0.847
Cl 0.209 0.242 0.160
Cl 0.237 0.313 0.967
Cl 0.263 0.687 0.467
Cl 0.291 0.758 0.660
Cl 0.317 0.139 0.347
Cl 0.355 0.566 0.295
Cl 0.358 0.834 0.320
Cl 0.358 0.925 0.507
Cl 0.381 0.270 0.671
Cl 0.408 0.662 0.989
Cl 0.417 0.022 0.691
Cl 0.483 0.879 0.085
Cl 0.517 0.379 0.415
Cl 0.583 0.522 0.809
Cl 0.592 0.162 0.511
Cl 0.619 0.770 0.829
Cl 0.642 0.334 0.180
Cl 0.642 0.425 0.993
Cl 0.645 0.066 0.205
Cl 0.683 0.639 0.153
Cl 0.709 0.258 0.840
Cl 0.737 0.187 0.033
Cl 0.763 0.813 0.533
Cl 0.791 0.742 0.340
Cl 0.817 0.361 0.653
Cl 0.855 0.934 0.705
Cl 0.858 0.575 0.493
Cl 0.858 0.666 0.680
Cl 0.881 0.230 0.329
Cl 0.908 0.838 0.011
Cl 0.917 0.478 0.309
Cl 0.983 0.621 0.915

---

(2)
! PNCl2 PBE optimized geometry; values from VASP
! - energy of formation (kJ/mol of formula units) = -339
! - magnetic moment (μB/f.u.) = 0.00
&SYSTEM
  ibrav = 0, nat = 32, ntyp = 3
/
ATOMIC_SPECIES
P 30.97 P.upf
N 14.01 N.upf
Cl 35.45 Cl.upf
CELL_PARAMETERS angstrom
11.404 0.000 0.000
0.000 11.404 0.000
0.000 0.000 6.329
ATOMIC_POSITIONS crystal
P 0.081 0.209 0.193
P 0.209 0.419 0.307
P 0.291 0.081 0.307
P 0.419 0.291 0.193
P 0.581 0.709 0.807
P 0.709 0.919 0.693
P 0.791 0.581 0.693
P 0.919 0.791 0.807
N 0.119 0.342 0.175
N 0.158 0.119 0.325
N 0.342 0.381 0.325
N 0.381 0.158 0.175
N 0.619 0.842 0.825
N 0.658 0.619 0.675
N 0.842 0.881 0.675
N 0.881 0.658 0.825
Cl 0.056 0.154 0.893
Cl 0.081 0.801 0.682
Cl 0.154 0.444 0.607
Cl 0.199 0.581 0.182
Cl 0.301 0.919 0.182
Cl 0.346 0.056 0.607
Cl 0.419 0.699 0.682
Cl 0.444 0.346 0.893
Cl 0.556 0.654 0.107
Cl 0.581 0.301 0.318
Cl 0.654 0.944 0.393
Cl 0.699 0.081 0.818
Cl 0.801 0.419 0.818
Cl 0.846 0.556 0.393
Cl 0.919 0.199 0.318
Cl 0.944 0.846 0.107

---

(3)
! TaP2NCl12 PBE optimized geometry; values from VASP
! - energy of formation (kJ/mol of formula units) = -2128
&SYSTEM
  ibrav = 0, nat = 32, ntyp = 4
/
ATOMIC_SPECIES
Ta 180.95 Ta.upf
P 30.97 P.upf
N 14.01 N.upf
Cl 35.45 Cl.upf
CELL_PARAMETERS angstrom
6.964 -4.476 0.000
6.964 4.476 0.000
-3.788 0.000 15.388
ATOMIC_POSITIONS crystal
Ta 0.000 0.000 0.000
Ta 0.000 0.000 0.500
P 0.319 0.460 0.730
P 0.460 0.319 0.230
P 0.540 0.681 0.770
P 0.681 0.540 0.270
N 0.377 0.623 0.750
N 0.623 0.377 0.250
Cl 0.047 0.087 0.152
Cl 0.087 0.047 0.652
Cl 0.095 0.514 0.648
Cl 0.101 0.214 0.974
Cl 0.214 0.101 0.474
Cl 0.221 0.702 0.492
Cl 0.237 0.499 0.176
Cl 0.269 0.401 0.834
Cl 0.298 0.779 0.008
Cl 0.401 0.269 0.334
Cl 0.486 0.905 0.852
Cl 0.499 0.237 0.676
Cl 0.501 0.763 0.324
Cl 0.514 0.095 0.148
Cl 0.599 0.731 0.666
Cl 0.702 0.221 0.992
Cl 0.731 0.599 0.166
Cl 0.763 0.501 0.824
Cl 0.779 0.298 0.508
Cl 0.786 0.899 0.526
Cl 0.899 0.786 0.026
Cl 0.905 0.486 0.352
Cl 0.913 0.953 0.348
Cl 0.953 0.913 0.848

---

Among the records above, which one has the lowest energy of formation?
TaP2NCl12